The following is a DFT calculation (PBE-GGA) of Na7Mg2SiSn2P5O24 after structural relaxation.

```
data_Na7Mg2SiSn2P5O24
_symmetry_space_group_name_H-M 'P 1'
_symmetry_Int_Tables_number 1
_cell_length_a 9.017
_cell_length_b 9.019
_cell_length_c 22.124
_cell_angle_alpha 89.85
_cell_angle_beta 89.90
_cell_angle_gamma 60.01
loop_
_symmetry_equiv_pos_as_xyz
'x,y,z'
loop_
_atom_site_label
_atom_site_fract_x
_atom_site_fract_y
_atom_site_fract_z
Na1 0.000 0.000 0.000
Na2 0.002 0.618 0.496
Na3 0.262 0.358 0.996
Na4 0.267 0.010 0.495
Na5 0.294 0.668 0.583
Na6 0.296 0.667 0.082
Na7 0.317 0.286 0.333
Na8 0.326 0.956 0.162
Na9 0.335 0.333 0.661
Na10 0.601 0.687 0.664
Na11 0.607 0.331 0.164
Na12 0.636 0.993 0.749
Na13 0.642 0.982 0.250
Na14 0.643 0.354 0.497
Na15 0.656 0.622 0.994
Na16 0.667 0.290 0.829
Na17 0.932 0.673 0.833
Na18 0.935 0.022 0.328
Na19 0.969 0.335 0.415
Na20 0.981 0.323 0.915
Na21 0.982 0.693 0.162
Mg1 0.299 0.666 0.726
Mg2 0.303 0.663 0.226
Mg3 0.635 0.989 0.892
Mg4 0.636 0.989 0.393
Mg5 0.973 0.326 0.060
Mg6 0.975 0.324 0.560
Si1 0.341 0.291 0.491
Si2 0.937 0.694 0.991
Si3 0.972 0.030 0.158
Sn1 0.302 0.665 0.926
Sn2 0.307 0.658 0.426
Sn3 0.641 0.996 0.594
Sn4 0.644 0.992 0.093
Sn5 0.967 0.329 0.260
Sn6 0.977 0.321 0.760
P1 0.008 0.658 0.325
P2 0.010 0.958 0.826
P3 0.268 0.325 0.159
P4 0.269 0.029 0.658
P5 0.305 0.363 0.825
P6 0.307 0.955 0.325
P7 0.347 0.993 0.993
P8 0.601 0.660 0.824
P9 0.603 0.365 0.325
P10 0.636 0.290 0.991
P11 0.638 0.700 0.494
P12 0.677 0.622 0.158
P13 0.678 0.324 0.660
P14 0.933 0.992 0.491
P15 0.970 0.624 0.659
O1 0.000 0.488 0.322
O2 0.001 0.119 0.101
O3 0.097 0.681 0.270
O4 0.103 0.837 0.774
O5 0.114 0.888 0.887
O6 0.118 0.830 0.487
O7 0.123 0.621 0.384
O8 0.130 0.680 0.989
O9 0.131 0.637 0.667
O10 0.134 0.356 0.821
O11 0.137 0.139 0.324
O12 0.137 0.839 0.165
O13 0.150 0.316 0.498
O14 0.154 0.356 0.104
O15 0.165 0.113 0.601
O16 0.166 0.147 0.999
O17 0.191 0.150 0.714
O18 0.191 0.289 0.218
O19 0.267 0.479 0.884
O20 0.268 0.879 0.384
O21 0.296 0.478 0.167
O22 0.297 0.848 0.666
O23 0.321 0.850 0.270
O24 0.326 0.484 0.489
O25 0.329 0.451 0.769
O26 0.337 0.823 0.988
O27 0.430 0.172 0.434
O28 0.437 0.023 0.940
O29 0.447 0.155 0.155
O30 0.453 0.014 0.656
O31 0.455 0.956 0.053
O32 0.461 0.981 0.331
O33 0.465 0.188 0.833
O34 0.465 0.214 0.553
O35 0.468 0.692 0.488
O36 0.473 0.474 0.987
O37 0.491 0.454 0.271
O38 0.494 0.673 0.769
O39 0.498 0.483 0.665
O40 0.500 0.638 0.167
O41 0.525 0.472 0.385
O42 0.525 0.621 0.883
O43 0.592 0.219 0.050
O44 0.600 0.810 0.553
O45 0.625 0.185 0.331
O46 0.627 0.813 0.830
O47 0.653 0.807 0.155
O48 0.658 0.160 0.658
O49 0.660 0.178 0.936
O50 0.672 0.787 0.441
O51 0.759 0.515 0.102
O52 0.766 0.348 0.605
O53 0.785 0.297 0.719
O54 0.785 0.489 0.822
O55 0.786 0.346 0.324
O56 0.789 0.518 0.501
O57 0.791 0.019 0.158
O58 0.795 0.309 0.998
O59 0.799 0.547 0.215
O60 0.800 0.803 0.656
O61 0.818 0.783 0.933
O62 0.825 0.017 0.435
O63 0.828 0.981 0.831
O64 0.833 0.819 0.333
O65 0.860 0.944 0.548
O66 0.861 0.815 0.053
O67 0.927 0.152 0.221
O68 0.931 0.546 0.718
O69 0.950 0.152 0.500
O70 0.962 0.504 0.998
O71 0.987 0.143 0.822
O72 0.993 0.513 0.604
```

---

The following is a DFT calculation (PBE-GGA) of Na5MgSiSn3P5O24 after structural relaxation.

```
data_Na5MgSiSn3P5O24
_symmetry_space_group_name_H-M 'P 1'
_symmetry_Int_Tables_number 1
_cell_length_a 8.893
_cell_length_b 8.918
_cell_length_c 22.454
_cell_angle_alpha 89.90
_cell_angle_beta 89.93
_cell_angle_gamma 60.11
loop_
_symmetry_equiv_pos_as_xyz
'x,y,z'
loop_
_atom_site_label
_atom_site_fract_x
_atom_site_fract_y
_atom_site_fract_z
Na1 0.000 0.000 0.000
Na2 0.000 0.264 0.500
Na3 0.010 0.625 0.751
Na4 0.020 0.608 0.258
Na5 0.036 0.285 0.839
Na6 0.344 0.957 0.416
Na7 0.348 0.947 0.917
Na8 0.381 0.613 0.500
Na9 0.386 0.257 0.005
Na10 0.645 0.615 0.005
Na11 0.651 0.994 0.500
Na12 0.668 0.300 0.587
Na13 0.673 0.302 0.095
Na14 0.704 0.956 0.179
Na15 0.979 0.948 0.672
Mg1 0.012 0.616 0.609
Mg2 0.677 0.291 0.436
Mg3 0.680 0.288 0.936
Si1 0.345 0.252 0.174
Si2 0.637 0.659 0.172
Si3 0.972 0.995 0.840
Sn1 0.010 0.623 0.403
Sn2 0.011 0.631 0.901
Sn3 0.015 0.617 0.112
Sn4 0.346 0.955 0.573
Sn5 0.346 0.957 0.276
Sn6 0.347 0.955 0.077
Sn7 0.348 0.952 0.775
Sn8 0.674 0.291 0.739
Sn9 0.674 0.298 0.240
P1 0.011 0.330 0.005
P2 0.011 0.915 0.509
P3 0.048 0.254 0.674
P4 0.050 0.958 0.173
P5 0.302 0.332 0.508
P6 0.303 0.626 0.006
P7 0.346 0.658 0.672
P8 0.381 0.587 0.342
P9 0.385 0.289 0.842
P10 0.640 0.957 0.673
P11 0.676 0.583 0.842
P12 0.679 0.995 0.341
P13 0.718 0.915 0.007
P14 0.720 0.623 0.508
P15 0.973 0.288 0.342
O1 0.026 0.798 0.166
O2 0.031 0.431 0.668
O3 0.052 0.406 0.948
O4 0.053 0.794 0.454
O5 0.119 0.991 0.112
O6 0.127 0.133 0.617
O7 0.155 0.122 0.336
O8 0.160 0.167 0.730
O9 0.164 0.984 0.834
O10 0.169 0.923 0.225
O11 0.177 0.443 0.169
O12 0.178 0.147 0.011
O13 0.181 0.649 0.667
O14 0.181 0.933 0.512
O15 0.183 0.665 0.951
O16 0.184 0.405 0.451
O17 0.194 0.445 0.844
O18 0.196 0.606 0.344
O19 0.218 0.447 0.561
O20 0.219 0.591 0.061
O21 0.307 0.161 0.229
O22 0.314 0.780 0.726
O23 0.315 0.795 0.011
O24 0.319 0.146 0.512
O25 0.362 0.770 0.335
O26 0.363 0.126 0.834
O27 0.382 0.734 0.614
O28 0.387 0.140 0.110
O29 0.461 0.325 0.785
O30 0.461 0.476 0.285
O31 0.483 0.466 0.000
O32 0.483 0.509 0.399
O33 0.485 0.266 0.898
O34 0.486 0.305 0.500
O35 0.513 0.480 0.679
O36 0.514 0.977 0.337
O37 0.519 0.767 0.834
O38 0.528 0.252 0.179
O39 0.529 0.991 0.615
O40 0.531 0.728 0.108
O41 0.533 0.793 0.512
O42 0.534 0.929 0.010
O43 0.549 0.793 0.227
O44 0.551 0.931 0.727
O45 0.647 0.509 0.899
O46 0.654 0.125 0.677
O47 0.658 0.099 0.397
O48 0.663 0.467 0.178
O49 0.693 0.466 0.500
O50 0.696 0.095 0.000
O51 0.706 0.074 0.283
O52 0.712 0.467 0.786
O53 0.793 0.668 0.451
O54 0.800 0.791 0.953
O55 0.820 0.661 0.167
O56 0.821 0.801 0.668
O57 0.833 0.835 0.063
O58 0.834 0.594 0.561
O59 0.845 0.811 0.343
O60 0.849 0.312 0.001
O61 0.849 0.589 0.845
O62 0.854 0.097 0.501
O63 0.860 0.078 0.778
O64 0.862 0.316 0.285
O65 0.867 0.117 0.179
O66 0.869 0.260 0.678
O67 0.894 0.267 0.399
O68 0.898 0.110 0.899
O69 0.979 0.450 0.059
O70 0.983 0.835 0.565
O71 0.992 0.802 0.841
O72 0.993 0.453 0.343
```

---

The following is a DFT calculation (PBE-GGA) of Na4MgSiSnP2O12 after structural relaxation.

```
data_Na4MgSiSnP2O12
_symmetry_space_group_name_H-M 'C 1 c 1'
_symmetry_Int_Tables_number 9
_cell_length_a 15.727
_cell_length_b 9.085
_cell_length_c 22.086
_cell_angle_alpha 90.00
_cell_angle_beta 90.23
_cell_angle_gamma 90.00
loop_
_symmetry_equiv_pos_as_xyz
'x,y,z'
'x,-y,z+1/2'
'x+1/2,y+1/2,z'
'x+1/2,-y+1/2,z+1/2'
loop_
_atom_site_label
_atom_site_fract_x
_atom_site_fract_y
_atom_site_fract_z
Na1 0.000 0.127 0.000
Na2 0.008 0.493 0.754
Na3 0.029 0.178 0.670
Na4 0.159 0.314 0.169
Na5 0.164 0.364 0.831
Na6 0.171 0.008 0.588
Na7 0.189 0.323 0.506
Na8 0.328 0.194 0.000
Na9 0.331 0.137 0.667
Na10 0.343 0.498 0.921
Na11 0.360 0.177 0.335
Na12 0.491 0.313 0.839
Mg1 0.005 0.499 0.399
Mg2 0.171 0.006 0.732
Mg3 0.339 0.500 0.065
Si1 0.005 0.202 0.497
Si2 0.022 0.150 0.830
Si3 0.191 0.352 0.663
Sn1 0.008 0.496 0.599
Sn2 0.168 0.001 0.432
Sn3 0.339 0.500 0.265
P1 0.153 0.351 0.997
P2 0.173 0.294 0.330
P3 0.319 0.146 0.831
P4 0.338 0.203 0.164
P5 0.358 0.145 0.497
P6 0.486 0.349 0.664
O1 0.010 0.327 0.837
O2 0.027 0.301 0.559
O3 0.060 0.067 0.892
O4 0.076 0.089 0.171
O5 0.081 0.121 0.772
O6 0.094 0.392 0.337
O7 0.095 0.102 0.496
O8 0.095 0.365 0.056
O9 0.096 0.437 0.663
O10 0.110 0.419 0.943
O11 0.162 0.196 0.276
O12 0.164 0.178 0.994
O13 0.181 0.175 0.669
O14 0.194 0.200 0.389
O15 0.230 0.435 0.726
O16 0.241 0.421 0.005
O17 0.250 0.384 0.606
O18 0.256 0.393 0.328
O19 0.259 0.108 0.172
O20 0.262 0.125 0.890
O21 0.269 0.066 0.493
O22 0.276 0.076 0.777
O23 0.325 0.319 0.828
O24 0.326 0.301 0.109
O25 0.346 0.312 0.504
O26 0.359 0.298 0.223
O27 0.396 0.072 0.557
O28 0.408 0.080 0.838
O29 0.414 0.116 0.443
O30 0.419 0.101 0.161
O31 0.422 0.405 0.004
O32 0.426 0.433 0.327
O33 0.430 0.368 0.723
O34 0.444 0.422 0.609
O35 0.490 0.194 0.939
O36 0.491 0.176 0.659
```

---

no.,uncorrected energy (Ry/atom),calculated formation energy (eV/atom)
1,-0.473,-2.65
2,-0.483,-2.59
3,-0.469,-2.65